# 1
InSe: optimized geometry, PBE.

Cell lengths 4.0836, 4.0836, 17.5504 Å; angles 90.00, 90.00, 120.00 degrees
Atoms (fractional coordinates):
1 In 0.3333 0.6667 0.1696
2 In 0.3333 0.6667 0.3304
3 In 0.6667 0.3333 0.6696
4 In 0.6667 0.3333 0.8304
5 Se 0.3333 0.6667 0.5968
6 Se 0.3333 0.6667 0.9032
7 Se 0.6667 0.3333 0.0968
8 Se 0.6667 0.3333 0.4032

- E_form: -0.7426 eV/atom
- SG: No. 194

# 2
In3Se: optimized geometry, PBE.

Cell lengths 4.8038, 4.8038, 4.8038 Å; angles 90.00, 90.00, 90.00 degrees
Atoms (fractional coordinates):
1 In 0.0000 0.0000 0.5000
2 In 0.0000 0.5000 0.0000
3 In 0.5000 0.0000 0.0000
4 Se 0.5000 0.5000 0.5000

- E_form: -0.2211 eV/atom
- SG: No. 221

# 3
InSe: optimized geometry, PBE.

Cell lengths 4.0949, 4.0949, 26.8897 Å; angles 90.00, 90.00, 120.00 degrees
Atoms (fractional coordinates):
1 In 0.0000 0.0000 0.0000
2 In 0.0000 0.0000 0.1053
3 In 0.3333 0.6667 0.6667
4 In 0.3333 0.6667 0.7720
5 In 0.6667 0.3333 0.3333
6 In 0.6667 0.3333 0.4386
7 Se 0.0000 0.0000 0.2862
8 Se 0.0000 0.0000 0.4857
9 Se 0.3333 0.6667 0.1524
10 Se 0.3333 0.6667 0.9528
11 Se 0.6667 0.3333 0.6195
12 Se 0.6667 0.3333 0.8191

- Largest piezoelectric modulus: 0.104 C/m2
- E_form: -0.7463 eV/atom
- SG: No. 160

# 4
InSe: optimized geometry, PBE.

Cell lengths 11.7027, 4.1449, 5.2306 Å; angles 90.00, 109.75, 90.00 degrees
Atoms (fractional coordinates):
1 In 0.1119 0.0000 0.4497
2 In 0.3881 0.5000 0.5503
3 In 0.6119 0.5000 0.4497
4 In 0.8881 0.0000 0.5503
5 Se 0.1615 0.5000 0.1708
6 Se 0.3385 0.0000 0.8292
7 Se 0.6615 0.0000 0.1708
8 Se 0.8385 0.5000 0.8292

- E_form: -0.7096 eV/atom
- SG: No. 12

# 5
InSe: optimized geometry, PBE.

Cell lengths 4.0965, 4.0965, 18.3434 Å; angles 90.00, 90.00, 120.00 degrees
Atoms (fractional coordinates):
1 In 0.0000 0.0000 0.0772
2 In 0.0000 0.0000 0.9228
3 In 0.3333 0.6667 0.4229
4 In 0.3333 0.6667 0.5771
5 Se 0.3333 0.6667 0.1463
6 Se 0.3333 0.6667 0.8537
7 Se 0.6667 0.3333 0.3537
8 Se 0.6667 0.3333 0.6463

- E_form: -0.7459 eV/atom
- SG: No. 187

# 6
Sm3InSe6: optimized geometry, PBE.

Cell lengths 14.3222, 17.5862, 4.1009 Å; angles 90.00, 90.00, 90.00 degrees
Atoms (fractional coordinates):
1 Sm 0.0407 0.2242 0.0000
2 Sm 0.1868 0.6457 0.0000
3 Sm 0.2490 0.8941 0.5000
4 Sm 0.2510 0.3941 0.0000
5 Sm 0.3132 0.1457 0.5000
6 Sm 0.4593 0.7242 0.5000
7 Sm 0.5407 0.2758 0.5000
8 Sm 0.6868 0.8543 0.5000
9 Sm 0.7490 0.6059 0.0000
10 Sm 0.7510 0.1059 0.5000
11 Sm 0.8132 0.3543 0.0000
12 Sm 0.9593 0.7758 0.0000
13 In 0.0000 0.0000 0.5000
14 In 0.0000 0.5000 0.5000
15 In 0.5000 0.0000 0.0000
16 In 0.5000 0.5000 0.0000
17 Se 0.0228 0.3956 0.0000
18 Se 0.0952 0.9127 0.0000
19 Se 0.1121 0.1170 0.5000
20 Se 0.1124 0.7483 0.5000
21 Se 0.1826 0.2852 0.5000
22 Se 0.1915 0.5199 0.5000
23 Se 0.3085 0.0199 0.0000
24 Se 0.3174 0.7852 0.0000
25 Se 0.3876 0.2483 0.0000
26 Se 0.3879 0.6170 0.0000
27 Se 0.4048 0.4127 0.5000
28 Se 0.4772 0.8956 0.5000
29 Se 0.5228 0.1044 0.5000
30 Se 0.5952 0.5873 0.5000
31 Se 0.6121 0.3830 0.0000
32 Se 0.6124 0.7517 0.0000
33 Se 0.6826 0.2148 0.0000
34 Se 0.6915 0.9801 0.0000
35 Se 0.8085 0.4801 0.5000
36 Se 0.8174 0.7148 0.5000
37 Se 0.8876 0.2517 0.5000
38 Se 0.8879 0.8830 0.5000
39 Se 0.9048 0.0873 0.0000
40 Se 0.9772 0.6044 0.0000

- E_form: -1.8227 eV/atom
- SG: No. 58

# 7
InSn3Se4: optimized geometry, PBE.

Cell lengths 4.5810, 4.1061, 11.7640 Å; angles 90.00, 91.45, 90.00 degrees
Atoms (fractional coordinates):
1 In 0.0000 0.0000 0.0000
2 Sn 0.2916 0.0000 0.4989
3 Sn 0.5002 0.5000 0.2633
4 Sn 0.7974 0.5000 0.7663
5 Se 0.3865 0.0000 0.7324
6 Se 0.4117 0.5000 0.0252
7 Se 0.8843 0.5000 0.5312
8 Se 0.9036 0.0000 0.2353

- E_form: -0.6123 eV/atom
- SG: No. 6

# 8
SrIn2Se4: optimized geometry, PBE.

Cell lengths 15.8246, 13.1281, 13.1104 Å; angles 74.18, 52.96, 52.86 degrees
Atoms (fractional coordinates):
1 Sr 0.1223 0.6277 0.1223
2 Sr 0.1250 0.1250 0.1250
3 Sr 0.3723 0.8777 0.3723
4 Sr 0.3750 0.3750 0.3750
5 Sr 0.6250 0.6250 0.6250
6 Sr 0.6277 0.1223 0.6277
7 Sr 0.8750 0.8750 0.8750
8 Sr 0.8777 0.3723 0.8777
9 In 0.0333 0.8578 0.4663
10 In 0.1129 0.3640 0.3860
11 In 0.1422 0.9667 0.8573
12 In 0.1427 0.4663 0.8578
13 In 0.3629 0.6140 0.6360
14 In 0.3640 0.1129 0.6371
15 In 0.3860 0.6371 0.1129
16 In 0.4663 0.1427 0.0333
17 In 0.5337 0.8573 0.9667
18 In 0.6140 0.3629 0.8871
19 In 0.6360 0.8871 0.3629
20 In 0.6371 0.3860 0.3640
21 In 0.8573 0.5337 0.1422
22 In 0.8578 0.0333 0.1427
23 In 0.8871 0.6360 0.6140
24 In 0.9667 0.1422 0.5337
25 Se 0.0889 0.4109 0.0912
26 Se 0.0913 0.4094 0.5877
27 Se 0.0912 0.9090 0.0889
28 Se 0.0910 0.9088 0.5891
29 Se 0.1467 0.6677 0.8512
30 Se 0.1488 0.1655 0.8533
31 Se 0.1655 0.1488 0.3323
32 Se 0.1794 0.6444 0.3172
33 Se 0.3172 0.3590 0.1794
34 Se 0.3323 0.8533 0.1655
35 Se 0.3556 0.8206 0.6410
36 Se 0.3590 0.3172 0.6444
37 Se 0.4094 0.0913 0.4116
38 Se 0.4109 0.0889 0.9090
39 Se 0.4116 0.5877 0.4094
40 Se 0.4123 0.5884 0.9087
41 Se 0.5877 0.4116 0.0913
42 Se 0.5884 0.4123 0.5906
43 Se 0.5891 0.9111 0.0910
44 Se 0.5906 0.9087 0.5884
45 Se 0.6410 0.6828 0.3556
46 Se 0.6444 0.1794 0.3590
47 Se 0.6677 0.1467 0.8345
48 Se 0.6828 0.6410 0.8206
49 Se 0.8206 0.3556 0.6828
50 Se 0.8345 0.8512 0.6677
51 Se 0.8512 0.8345 0.1467
52 Se 0.8533 0.3323 0.1488
53 Se 0.9090 0.0912 0.4109
54 Se 0.9088 0.0910 0.9111
55 Se 0.9087 0.5906 0.4123
56 Se 0.9111 0.5891 0.9088

- E_form: -1.2635 eV/atom
- SG: No. 70

# 9
Ta3In2Se6: optimized geometry, PBE.

Cell lengths 3.4944, 3.4944, 25.9336 Å; angles 90.00, 90.00, 120.00 degrees
Atoms (fractional coordinates):
1 Ta 0.0000 0.0000 0.0000
2 Ta 0.0000 0.0000 0.3329
3 Ta 0.0000 0.0000 0.6671
4 In 0.0000 0.0000 0.1676
5 In 0.0000 0.0000 0.8324
6 Se 0.6667 0.3333 0.0644
7 Se 0.6667 0.3333 0.2681
8 Se 0.6667 0.3333 0.3968
9 Se 0.6667 0.3333 0.6032
10 Se 0.6667 0.3333 0.7319
11 Se 0.6667 0.3333 0.9356

- E_form: -0.9360 eV/atom
- SG: No. 187

# 10
TaInSe2: optimized geometry, PBE.

Cell lengths 3.4431, 3.4431, 9.4862 Å; angles 90.00, 90.00, 120.00 degrees
Atoms (fractional coordinates):
1 Ta 0.0000 0.0000 0.0000
2 In 0.3333 0.6667 0.5000
3 Se 0.3333 0.6667 0.1775
4 Se 0.3333 0.6667 0.8225

- E_form: -0.8757 eV/atom
- SG: No. 187

# 11
TaInSe2: optimized geometry, PBE.

Cell lengths 3.4854, 3.4854, 8.7973 Å; angles 90.00, 90.00, 120.00 degrees
Atoms (fractional coordinates):
1 Ta 0.0000 0.0000 0.0000
2 In 0.0000 0.0000 0.5000
3 Se 0.6667 0.3333 0.1901
4 Se 0.6667 0.3333 0.8099

- E_form: -0.8627 eV/atom
- SG: No. 187

# 12
Tl5In3Se8: optimized geometry, PBE.

Cell lengths 8.2866, 8.2866, 7.0110 Å; angles 90.00, 90.00, 90.00 degrees
Atoms (fractional coordinates):
1 Tl 0.0000 0.0000 0.0000
2 Tl 0.0000 0.5000 0.0000
3 Tl 0.0000 0.5000 0.5000
4 Tl 0.5000 0.0000 0.0000
5 Tl 0.5000 0.0000 0.5000
6 In 0.0000 0.0000 0.5000
7 In 0.5000 0.5000 0.0000
8 In 0.5000 0.5000 0.5000
9 Se 0.1738 0.1738 0.7416
10 Se 0.1738 0.8262 0.2584
11 Se 0.3296 0.3296 0.2498
12 Se 0.3296 0.6704 0.7502
13 Se 0.6704 0.3296 0.7502
14 Se 0.6704 0.6704 0.2498
15 Se 0.8262 0.1738 0.2584
16 Se 0.8262 0.8262 0.7416

- E_form: -0.6946 eV/atom
- SG: No. 111

# 13
Tl3In7Se10: optimized geometry, PBE.

Cell lengths 6.7662, 10.7665, 16.6585 Å; angles 102.31, 91.14, 97.79 degrees
Atoms (fractional coordinates):
1 Tl 0.1511 0.1003 0.4496
2 Tl 0.2498 0.5002 0.7500
3 Tl 0.3491 0.8994 0.0503
4 Tl 0.6509 0.1006 0.9497
5 Tl 0.7502 0.4998 0.2500
6 Tl 0.8489 0.8997 0.5504
7 In 0.0496 0.2000 0.1499
8 In 0.0498 0.6998 0.1501
9 In 0.1495 0.6001 0.4499
10 In 0.2504 0.9999 0.7500
11 In 0.3499 0.3998 0.0500
12 In 0.4502 0.3001 0.3500
13 In 0.4499 0.8002 0.3501
14 In 0.5501 0.1998 0.6499
15 In 0.5498 0.6999 0.6500
16 In 0.6501 0.6002 0.9500
17 In 0.7496 0.0001 0.2500
18 In 0.8505 0.3999 0.5501
19 In 0.9502 0.3001 0.8499
20 In 0.9504 0.8000 0.8501
21 Se 0.0346 0.6383 0.6038
22 Se 0.0583 0.7684 0.3647
23 Se 0.1420 0.0308 0.2346
24 Se 0.1641 0.1627 0.9960
25 Se 0.2350 0.4385 0.2038
26 Se 0.2568 0.5683 0.9659
27 Se 0.3420 0.8305 0.8336
28 Se 0.3660 0.9611 0.5967
29 Se 0.4350 0.2381 0.8037
30 Se 0.4590 0.3698 0.5650
31 Se 0.5410 0.6302 0.4350
32 Se 0.5650 0.7619 0.1963
33 Se 0.6340 0.0389 0.4033
34 Se 0.6580 0.1695 0.1664
35 Se 0.7432 0.4317 0.0341
36 Se 0.7650 0.5615 0.7962
37 Se 0.8359 0.8373 0.0040
38 Se 0.8580 0.9692 0.7654
39 Se 0.9417 0.2316 0.6353
40 Se 0.9654 0.3617 0.3962

- E_form: -0.7183 eV/atom
- SG: No. 2

# 14
TlIn5Se7: optimized geometry, PBE.

Cell lengths 9.6318, 4.1404, 18.1762 Å; angles 90.00, 100.98, 90.00 degrees
Atoms (fractional coordinates):
1 Tl 0.0227 0.2500 0.2279
2 Tl 0.9773 0.7500 0.7721
3 In 0.1476 0.7500 0.4534
4 In 0.1710 0.2500 0.0341
5 In 0.3209 0.7500 0.6866
6 In 0.4322 0.2500 0.3775
7 In 0.4843 0.2500 0.8977
8 In 0.5157 0.7500 0.1023
9 In 0.5678 0.7500 0.6225
10 In 0.6791 0.2500 0.3134
11 In 0.8290 0.7500 0.9659
12 In 0.8524 0.2500 0.5466
13 Se 0.0297 0.7500 0.0909
14 Se 0.0567 0.7500 0.5911
15 Se 0.2572 0.7500 0.3229
16 Se 0.2637 0.2500 0.7723
17 Se 0.3306 0.7500 0.9672
18 Se 0.3355 0.2500 0.5064
19 Se 0.3794 0.2500 0.1564
20 Se 0.6206 0.7500 0.8436
21 Se 0.6645 0.7500 0.4936
22 Se 0.6694 0.2500 0.0328
23 Se 0.7363 0.7500 0.2277
24 Se 0.7428 0.2500 0.6771
25 Se 0.9433 0.2500 0.4089
26 Se 0.9703 0.2500 0.9091

- E_form: -0.7508 eV/atom
- SG: No. 11

# 15
Tl3In5Se8: optimized geometry, PBE.

Cell lengths 8.2576, 8.2576, 6.9626 Å; angles 90.00, 90.00, 90.00 degrees
Atoms (fractional coordinates):
1 Tl 0.0000 0.0000 0.0000
2 Tl 0.0000 0.0000 0.5000
3 Tl 0.5000 0.5000 0.0000
4 In 0.0000 0.5000 0.0000
5 In 0.0000 0.5000 0.5000
6 In 0.5000 0.0000 0.0000
7 In 0.5000 0.0000 0.5000
8 In 0.5000 0.5000 0.5000
9 Se 0.1722 0.3286 0.7495
10 Se 0.1722 0.6714 0.2505
11 Se 0.3286 0.1722 0.2505
12 Se 0.3286 0.8278 0.7495
13 Se 0.6714 0.1722 0.7495
14 Se 0.6714 0.8278 0.2505
15 Se 0.8278 0.3286 0.2505
16 Se 0.8278 0.6714 0.7495

- E_form: -0.7337 eV/atom
- SG: No. 89

# 16
TlIn3Se4: optimized geometry, PBE.

Cell lengths 8.2575, 8.2575, 6.9491 Å; angles 90.00, 90.00, 90.00 degrees
Atoms (fractional coordinates):
1 Tl 0.0000 0.0000 0.0000
2 Tl 0.5000 0.5000 0.5000
3 In 0.0000 0.0000 0.5000
4 In 0.0000 0.5000 0.0000
5 In 0.0000 0.5000 0.5000
6 In 0.5000 0.0000 0.0000
7 In 0.5000 0.0000 0.5000
8 In 0.5000 0.5000 0.0000
9 Se 0.1713 0.3287 0.7500
10 Se 0.1713 0.6713 0.2500
11 Se 0.3287 0.1713 0.2500
12 Se 0.3287 0.8287 0.7500
13 Se 0.6713 0.1713 0.7500
14 Se 0.6713 0.8287 0.2500
15 Se 0.8287 0.3287 0.2500
16 Se 0.8287 0.6713 0.7500

- E_form: -0.7116 eV/atom
- SG: No. 97

E readings, ordered: -3.630, -3.041, -3.634, -3.597, -3.634, -5.328, -3.972, -4.019, -6.320, -6.040, -6.027, -3.461, -3.548, -3.619, -3.549, -3.551 eV per atom